# 1
Density functional theory data (r²SCAN) for an optimized crystal structure of Te3Cl2.

Properties
The density is 4.615 Mg/m³. The electronic total energy comes out at -1.3262 Ry/atom. Its magnetization is 0.0 μB per cell. Its crystal system is monoclinic.

Lattice parameters (Å, degrees): 7.2972 8.7606 11.6578 90.00 118.81 90.00
With the nearest neighbours (Å) after each atom.
Space group P2_1/c (No. 14)
Symmetry-distinct sites (fractional):
1 Te 0.0112 0.2436 0.4135 [4 per cell]  2 Cl 2.52-2.54
2 Te 0.2961 0.6540 0.3499 [4 per cell]  2 Te 2.67-2.91
3 Te 0.3040 0.1500 0.8333 [4 per cell]  2 Te 2.67-2.87
4 Cl 0.2142 0.5188 0.6683 [4 per cell]  1 Te 2.54
5 Cl 0.2376 0.0079 0.4825 [4 per cell]  1 Te 2.52

=====

# 2
Density functional theory data (r²SCAN) for an optimized crystal structure of AcSm3.

Properties
The density is 7.598 Mg/m³. The electronic total energy comes out at -2.8973 Ry/atom. Its magnetization is 0.0 μB per cell. Its crystal system is hexagonal.

Lattice parameters (Å, degrees): 7.5951 7.5951 5.9329 90.00 90.00 120.00
With the nearest neighbours (Å) after each atom.
Space group P6_3/mmc (No. 194)
Symmetry-distinct sites (fractional):
1 Ac 0.3333 0.6667 0.2500 [2 per cell]  12 Sm 3.72-3.80
2 Sm 0.1632 0.3264 0.7500 [6 per cell]  8 Sm 3.66-3.88, 4 Ac 3.72-3.80

=====

# 3
Density functional theory data (r²SCAN) for an optimized crystal structure of AcTe3.

Properties
The density is 7.794 Mg/m³. The electronic total energy comes out at -2.7371 Ry/atom. Its magnetization is 0.0 μB per cell. Its crystal system is tetragonal.

Lattice parameters (Å, degrees): 4.6754 4.6754 11.8875 90.00 90.00 90.00
With the nearest neighbours (Å) after each atom.
Space group I4/mmm (No. 139)
Symmetry-distinct sites (fractional):
1 Ac 0.0000 0.0000 0.0000 [2 per cell]  4 Te 3.31
2 Te 0.0000 0.0000 0.5000 [2 per cell]  4 Ac 3.31
3 Te 0.0000 0.5000 0.2500 [4 per cell]  4 Te 3.31

=====

# 4
Density functional theory data (r²SCAN) for an optimized crystal structure of TmAl4Ni.

Properties
The density is 5.579 Mg/m³. The electronic total energy comes out at -0.9492 Ry/atom. Its magnetization is 0.0 μB per cell. Its crystal system is orthorhombic.

Lattice parameters (Å, degrees): 4.0202 15.1702 6.5505 90.00 90.00 90.00
With the nearest neighbours (Å) after each atom.
Space group Cmcm (No. 63)
Symmetry-distinct sites (fractional):
1 Tm 0.0000 0.1195 0.2500 [4 per cell]  11 Al 2.96-3.19, 2 Ni 3.08
2 Al 0.0000 0.0755 0.7500 [4 per cell]  1 Ni 2.29
3 Al 0.0000 0.3118 0.0529 [8 per cell]  3 Ni 2.37-2.46, 1 Al 2.58
4 Al 0.0000 0.5000 0.0000 [4 per cell]  6 Al 2.83-2.88, 4 Tm 3.16
5 Ni 0.0000 0.2267 0.7500 [4 per cell]  7 Al 2.29-2.46

=====

# 5
Density functional theory data (r²SCAN) for an optimized crystal structure of SrGe2Ir2.

Properties
The density is 10.738 Mg/m³. The electronic total energy comes out at -2.2239 Ry/atom. Its magnetization is 0.0 μB per cell. Its crystal system is tetragonal.

Lattice parameters (Å, degrees): 4.2043 4.2043 10.8015 90.00 90.00 90.00
With the nearest neighbours (Å) after each atom.
Space group I4/mmm (No. 139)
Symmetry-distinct sites (fractional):
1 Sr 0.0000 0.0000 0.0000 [2 per cell]  8 Ge 3.29, 8 Ir 3.42
2 Ge 0.0000 0.0000 0.3687 [4 per cell]  4 Ir 2.46
3 Ir 0.0000 0.5000 0.2500 [4 per cell]  4 Ge 2.46

=====

# 6
Density functional theory data (r²SCAN) for an optimized crystal structure of SnP7Au3.

Properties
The density is 7.216 Mg/m³. The electronic total energy comes out at -1.6102 Ry/atom. Its magnetization is 0.0 μB per cell. Its crystal system is monoclinic.

Lattice parameters (Å, degrees): 6.3260 11.0487 6.4442 90.00 108.80 90.00
With the nearest neighbours (Å) after each atom.
Space group P2_1/m (No. 11)
Symmetry-distinct sites (fractional):
1 Sn 0.1898 0.2500 0.4582 [2 per cell]  3 P 2.64-2.65, 3 Au 2.75-2.83
2 P 0.2189 0.5917 0.3050 [4 per cell]  2 P 2.19-2.21, 1 Au 2.42
3 P 0.2376 0.7500 0.7850 [2 per cell]  2 P 2.20, 1 Au 2.46
4 P 0.2996 0.0878 0.2093 [4 per cell]  2 P 2.19, 1 Au 2.43
5 P 0.3353 0.5791 0.6659 [4 per cell]  3 P 2.19-2.21
6 Au 0.1853 0.0989 0.8117 [4 per cell]  3 P 2.42-2.50
7 Au 0.4277 0.7500 0.1839 [2 per cell]  3 P 2.46-2.47, 1 Sn 2.75

=====

# 7
Density functional theory data (r²SCAN) for an optimized crystal structure of Pr12Ni6Pb.

Properties
The density is 7.160 Mg/m³. The electronic total energy comes out at -1.8802 Ry/atom. Its magnetization is 0.0 μB per cell. Its crystal system is cubic.

Lattice parameters (Å, degrees): 10.1436 10.1436 10.1436 90.00 90.00 90.00
With the nearest neighbours (Å) after each atom.
Space group Im-3 (No. 204)
Symmetry-distinct sites (fractional):
1 Pr 0.0000 0.3090 0.1865 [24 per cell]  3 Ni 2.76-2.97
2 Ni 0.0000 0.1193 0.5000 [12 per cell]  1 Ni 2.42
3 Pb 0.0000 0.0000 0.0000 [2 per cell]  12 Pr 3.66

=====

# 8
Density functional theory data (r²SCAN) for an optimized crystal structure of Mg2Ni3O8.

Properties
The density is 4.676 Mg/m³. The electronic total energy comes out at -0.6365 Ry/atom. Its magnetization is 0.0 μB per cell. Its crystal system is monoclinic.

Lattice parameters (Å, degrees): 9.9667 5.5926 4.7416 90.00 108.58 90.00
With the nearest neighbours (Å) after each atom.
Space group C2/m (No. 12)
Symmetry-distinct sites (fractional):
1 Mg 0.2205 0.0000 0.1463 [4 per cell]  5 O 2.03-2.15
2 Ni 0.0000 0.2452 0.5000 [4 per cell]  6 O 1.83-1.89
3 Ni 0.0000 0.5000 0.0000 [2 per cell]  6 O 1.86-1.87
4 O 0.1032 0.5000 0.4046 [4 per cell]  3 Ni 1.87-1.89
5 O 0.1087 0.0000 0.4381 [4 per cell]  2 Ni 1.83, 1 Mg 2.03
6 O 0.1123 0.2738 0.8936 [8 per cell]  2 Ni 1.85-1.86, 1 Mg 2.03

=====

# 9
Density functional theory data (r²SCAN) for an optimized crystal structure of Ti6Be15Cu8.

Properties
The density is 5.040 Mg/m³. The electronic total energy comes out at -0.6001 Ry/atom. Its magnetization is 0.0 μB per cell. Its crystal system is cubic.

Lattice parameters (Å, degrees): 10.7043 10.7043 10.7043 90.00 90.00 90.00
With the nearest neighbours (Å) after each atom.
Space group Fm-3m (No. 225)
Symmetry-distinct sites (fractional):
1 Ti 0.0000 0.0000 0.1974 [24 per cell]  8 Be 2.64-2.73, 4 Cu 2.67
2 Be 0.0000 0.0000 0.5000 [4 per cell]  8 Cu 2.26
3 Be 0.0000 0.2500 0.2500 [24 per cell]  4 Be 2.19, 4 Cu 2.34
4 Be 0.1735 0.1735 0.1735 [32 per cell]  6 Be 2.19-2.32, 3 Cu 2.32
5 Cu 0.1220 0.1220 0.3780 [32 per cell]  7 Be 2.26-2.34

=====

# 10
Density functional theory data (r²SCAN) for an optimized crystal structure of MnInO3.

Properties
The density is 6.206 Mg/m³. The electronic total energy comes out at -0.9575 Ry/atom. Its magnetization is 48.0 μB per cell. Its crystal system is orthorhombic.

Lattice parameters (Å, degrees): 10.2260 5.9248 11.5391 90.00 90.00 90.00
With the nearest neighbours (Å) after each atom.
Space group Cmc2_1 (No. 36)
Symmetry-distinct sites (fractional):
1 Mn 0.0000 0.1663 0.0000 [4 per cell]  5 O 1.90-1.98
2 Mn 0.1672 0.3322 0.4999 [8 per cell]  5 O 1.90-2.00
3 In 0.0000 0.4998 0.2301 [4 per cell]  7 O 2.22-2.41
4 In 0.1667 0.9998 0.2608 [8 per cell]  6 O 2.20-2.21
5 O 0.0000 0.1453 0.1647 [4 per cell]  1 Mn 1.90
6 O 0.0000 0.1866 0.8351 [4 per cell]  1 Mn 1.91
7 O 0.0000 0.4986 0.0215 [4 per cell]  3 Mn 1.98-2.00
8 O 0.1569 0.3427 0.3350 [8 per cell]  1 Mn 1.91
9 O 0.1666 0.0013 0.4876 [8 per cell]  3 Mn 1.97-1.98
10 O 0.1772 0.3227 0.6646 [8 per cell]  1 Mn 1.90

=====

# 11
Density functional theory data (r²SCAN) for an optimized crystal structure of YbSmPd2.

Properties
The density is 10.398 Mg/m³. The electronic total energy comes out at -2.1274 Ry/atom. Its magnetization is 0.0 μB per cell. Its crystal system is cubic.

Lattice parameters (Å, degrees): 6.9969 6.9969 6.9969 90.00 90.00 90.00
With the nearest neighbours (Å) after each atom.
Space group Fm-3m (No. 225)
Symmetry-distinct sites (fractional):
1 Yb 0.0000 0.0000 0.0000 [4 per cell]  8 Pd 3.03
2 Sm 0.0000 0.0000 0.5000 [4 per cell]  8 Pd 3.03
3 Pd 0.2500 0.2500 0.2500 [8 per cell]  4 Yb 3.03, 4 Sm 3.03

=====

# 12
Density functional theory data (r²SCAN) for an optimized crystal structure of Ti2AlGe3.

Properties
The density is 5.961 Mg/m³. The electronic total energy comes out at -0.9441 Ry/atom. Its magnetization is 0.0 μB per cell. Its crystal system is orthorhombic.

Lattice parameters (Å, degrees): 3.6744 3.6740 14.0585 90.00 90.00 90.00
With the nearest neighbours (Å) after each atom.
Space group Amm2 (No. 38)
Symmetry-distinct sites (fractional):
1 Ti 0.0000 0.0000 0.0000 [2 per cell]  6 Ge 2.64-2.79, 2 Al 2.82
2 Ti 0.5000 0.0000 0.1976 [2 per cell]  6 Ge 2.64-2.83, 2 Al 2.80
3 Al 0.0000 0.0000 0.3477 [2 per cell]  4 Ge 2.60, 4 Ti 2.80-2.82
4 Ge 0.0000 0.0000 0.6657 [2 per cell]  2 Ge 2.62, 4 Ti 2.64
5 Ge 0.5000 0.0000 0.5326 [2 per cell]  2 Ge 2.62, 4 Ti 2.64
6 Ge 0.5000 0.0000 0.8505 [2 per cell]  4 Al 2.60, 4 Ti 2.79-2.83

=====

Question: The lowest density belongs to which entry?
Answer: Te3Cl2

=====

Question: What is the density in the ninth record?
Answer: 5.040 Mg/m³

=====

Question: Which value of electronic total energy does entry 11 give?
Answer: -2.1274 Ry/atom